The following is a r²SCAN calculation of an optimized crystal structure of Na4CO4, from Materials Project.

a = 5.705 Å, b = 5.705 Å, c = 5.705 Å
α = 99.84°, β = 99.84°, γ = 131.16°
Sites, in units of the cell vectors:
Na (0.676, 0.676, 0.653)
Na (0.977, 0.324, 0.000)
O (0.784, 0.559, 0.000)
O (0.441, 0.441, 0.225)
C (0.500, 0.500, 0.000)
Na (0.324, 0.977, 0.000)
Na (0.023, 0.023, 0.347)
O (0.216, 0.216, 0.775)
O (0.559, 0.784, 0.000)

Output
Electronic total energy: -6.92 eV per atom
Crystal system: tetragonal
Energy relative to the elements: -1.57 eV per atom
Symmetry: I-42m, No. 121
Volume: 127 Å³/f.u.
Spin magnetization: 0.00 μB/f.u.